VASP calculation (PBE-GGA) on an optimized crystal structure of Na3Nb8Zn4P15S3O72.

Summary:
- Magnetic moment: 0.00 μB/f.u.
- V: 1518 Å³/f.u.
- E: -767.06 eV/cell

Lattice parameters (Å, degrees): 8.770 8.775 22.754 89.84 89.91 60.13
Fractional positions:
Na1 0.000 0.000 0.000
Na2 0.001 0.000 0.498
Na3 0.664 0.664 0.154
Nb1 0.002 0.997 0.348
Nb2 0.324 0.333 0.685
Nb3 0.340 0.322 0.971
Nb4 0.342 0.324 0.183
Nb5 0.666 0.664 0.307
Nb6 0.667 0.662 0.806
Nb7 0.672 0.659 0.517
Nb8 0.999 0.999 0.848
Zn1 0.000 0.004 0.644
Zn2 0.328 0.328 0.470
Zn3 0.660 0.664 0.013
Zn4 0.999 0.004 0.141
P1 0.050 0.321 0.575
P2 0.286 0.711 0.242
P3 0.288 0.993 0.742
P4 0.334 0.036 0.077
P5 0.380 0.664 0.912
P6 0.380 0.954 0.412
P7 0.628 0.330 0.077
P8 0.662 0.375 0.411
P9 0.670 0.945 0.912
P10 0.713 0.284 0.742
P11 0.718 0.994 0.242
P12 0.952 0.379 0.913
P13 0.958 0.661 0.411
P14 0.996 0.716 0.742
P15 0.999 0.285 0.242
S1 0.044 0.620 0.077
S2 0.328 0.621 0.576
S3 0.624 0.045 0.576
O1 0.018 0.169 0.584
O2 0.028 0.170 0.299
O3 0.031 0.796 0.798
O4 0.034 0.790 0.082
O5 0.133 0.507 0.131
O6 0.135 0.505 0.418
O7 0.136 0.357 0.632
O8 0.139 0.355 0.919
O9 0.157 0.531 0.024
O10 0.159 0.302 0.522
O11 0.163 0.308 0.235
O12 0.163 0.526 0.734
O13 0.165 0.029 0.081
O14 0.172 0.028 0.798
O15 0.172 0.797 0.299
O16 0.179 0.797 0.584
O17 0.191 0.826 0.899
O18 0.197 0.964 0.402
O19 0.213 0.823 0.188
O20 0.216 0.958 0.688
O21 0.307 0.539 0.524
O22 0.308 0.525 0.235
O23 0.311 0.160 0.022
O24 0.312 0.159 0.734
O25 0.353 0.140 0.132
O26 0.355 0.502 0.919
O27 0.362 0.130 0.417
O28 0.363 0.508 0.630
O29 0.449 0.706 0.966
O30 0.467 0.829 0.466
O31 0.474 0.683 0.255
O32 0.474 0.838 0.756
O33 0.493 0.636 0.856
O34 0.493 0.857 0.356
O35 0.495 0.635 0.569
O36 0.504 0.353 0.132
O37 0.504 0.864 0.074
O38 0.505 0.356 0.420
O39 0.506 0.134 0.918
O40 0.511 0.124 0.630
O41 0.524 0.310 0.023
O42 0.525 0.308 0.733
O43 0.530 0.159 0.236
O44 0.544 0.150 0.524
O45 0.635 0.499 0.074
O46 0.636 0.865 0.569
O47 0.640 0.864 0.856
O48 0.645 0.490 0.357
O49 0.686 0.469 0.756
O50 0.686 0.836 0.254
O51 0.701 0.464 0.466
O52 0.708 0.838 0.967
O53 0.797 0.169 0.798
O54 0.800 0.160 0.081
O55 0.801 0.025 0.299
O56 0.802 0.015 0.584
O57 0.823 0.212 0.688
O58 0.827 0.957 0.188
O59 0.829 0.977 0.900
O60 0.832 0.698 0.465
O61 0.836 0.194 0.402
O62 0.839 0.473 0.255
O63 0.841 0.449 0.966
O64 0.841 0.683 0.756
O65 0.861 0.643 0.356
O66 0.863 0.497 0.568
O67 0.868 0.490 0.856
O68 0.873 0.630 0.073
O69 0.958 0.214 0.189
O70 0.964 0.821 0.687
O71 0.966 0.835 0.402
O72 0.980 0.189 0.900

VASP calculation (PBE-GGA) on an optimized crystal structure of CoCu3HgSe4.

Summary:
- Magnetic moment: 0.01 μB/f.u.
- V: 201 Å³/f.u.
- E: -34.54 eV/cell

Lattice parameters (Å, degrees): 5.859 5.859 5.859 90.00 90.00 90.00
Fractional positions:
Co1 0.000 0.000 0.000
Cu1 0.000 0.000 0.500
Cu2 0.000 0.500 0.000
Cu3 0.500 0.000 0.000
Hg1 0.500 0.500 0.500
Se1 0.226 0.226 0.226
Se2 0.226 0.774 0.774
Se3 0.774 0.226 0.774
Se4 0.774 0.774 0.226